No. 1
This record from Materials Project describes a relaxed structure of KSrLa4Mn6O18. The functional is PBE+U.

formation energy from the elements: -2.725 eV per atom
total energy: -225.96 eV per formula unit
M_tot: 21.00 μB per formula unit

abc: 5.485 9.540 13.469
angles: 90.23 90.20 90.55
Atoms (fractional coordinates):
K: 0.247 0.253 0.250
K: 0.753 0.747 0.750
Sr: 0.255 0.246 0.750
Sr: 0.745 0.754 0.250
La: 0.247 0.583 0.417
La: 0.249 0.920 0.085
La: 0.251 0.583 0.916
La: 0.252 0.913 0.586
La: 0.748 0.087 0.414
La: 0.749 0.417 0.084
La: 0.751 0.080 0.915
La: 0.753 0.417 0.583
Mn: 0.249 0.250 0.000
Mn: 0.249 0.919 0.332
Mn: 0.250 0.250 0.499
Mn: 0.250 0.584 0.168
Mn: 0.251 0.914 0.831
Mn: 0.252 0.583 0.669
Mn: 0.748 0.417 0.331
Mn: 0.749 0.086 0.169
Mn: 0.750 0.416 0.832
Mn: 0.750 0.750 0.501
Mn: 0.751 0.081 0.668
Mn: 0.751 0.750 0.000
O: 0.010 0.337 0.413
O: 0.016 0.140 0.077
O: 0.024 0.477 0.751
O: 0.027 0.809 0.419
O: 0.028 0.996 0.735
O: 0.031 0.667 0.067
O: 0.239 0.067 0.435
O: 0.242 0.414 0.086
O: 0.246 0.768 0.235
O: 0.252 0.733 0.765
O: 0.257 0.092 0.907
O: 0.264 0.430 0.568
O: 0.471 0.688 0.577
O: 0.473 0.837 0.934
O: 0.475 0.357 0.917
O: 0.478 0.515 0.265
O: 0.484 0.168 0.593
O: 0.486 0.014 0.251
O: 0.514 0.986 0.749
O: 0.516 0.832 0.407
O: 0.522 0.485 0.735
O: 0.525 0.643 0.083
O: 0.527 0.163 0.066
O: 0.529 0.312 0.423
O: 0.736 0.570 0.432
O: 0.743 0.908 0.093
O: 0.748 0.267 0.235
O: 0.754 0.232 0.765
O: 0.758 0.586 0.914
O: 0.761 0.933 0.565
O: 0.969 0.333 0.933
O: 0.972 0.004 0.265
O: 0.973 0.191 0.581
O: 0.976 0.523 0.249
O: 0.984 0.860 0.923
O: 0.990 0.663 0.587

No. 2
This record from Materials Project describes a relaxed structure of KSr3La8Mn12O36. The functional is PBE+U.

formation energy from the elements: -2.791 eV per atom
total energy: -456.43 eV per formula unit
M_tot: 43.00 μB per formula unit

abc: 5.521 16.677 7.832
angles: 90.00 90.58 90.00
Atoms (fractional coordinates):
K: 0.000 0.000 0.000
Sr: 0.000 0.334 0.500
Sr: 0.000 0.666 0.500
Sr: 0.500 0.501 0.000
La: 0.000 0.335 0.000
La: 0.000 0.667 0.000
La: 0.000 0.999 0.500
La: 0.500 0.165 0.000
La: 0.500 0.165 0.500
La: 0.500 0.500 0.500
La: 0.500 0.832 0.500
La: 0.500 0.835 0.000
Mn: 0.000 0.166 0.249
Mn: 0.000 0.166 0.751
Mn: 0.000 0.500 0.250
Mn: 0.000 0.500 0.750
Mn: 0.000 0.834 0.249
Mn: 0.000 0.834 0.751
Mn: 0.499 0.334 0.251
Mn: 0.500 0.000 0.247
Mn: 0.500 0.000 0.753
Mn: 0.500 0.666 0.251
Mn: 0.500 0.666 0.749
Mn: 0.501 0.334 0.749
O: 0.000 0.150 0.500
O: 0.000 0.185 0.000
O: 0.000 0.487 0.500
O: 0.000 0.517 0.000
O: 0.000 0.821 0.500
O: 0.000 0.840 0.000
O: 0.226 0.408 0.776
O: 0.229 0.743 0.778
O: 0.230 0.591 0.269
O: 0.231 0.256 0.267
O: 0.235 0.921 0.286
O: 0.239 0.080 0.758
O: 0.270 0.423 0.230
O: 0.275 0.575 0.724
O: 0.277 0.759 0.225
O: 0.277 0.907 0.722
O: 0.278 0.241 0.731
O: 0.281 0.095 0.236
O: 0.500 0.015 0.500
O: 0.500 0.315 0.000
O: 0.500 0.350 0.500
O: 0.500 0.656 0.000
O: 0.500 0.684 0.500
O: 0.500 0.983 0.000
O: 0.719 0.095 0.764
O: 0.722 0.241 0.269
O: 0.723 0.759 0.775
O: 0.723 0.907 0.278
O: 0.725 0.575 0.276
O: 0.730 0.423 0.770
O: 0.761 0.080 0.242
O: 0.765 0.921 0.714
O: 0.769 0.256 0.733
O: 0.770 0.591 0.731
O: 0.771 0.743 0.222
O: 0.774 0.408 0.224

No. 3
This record from Materials Project describes a relaxed structure of KSrLaMnO6. The functional is PBE+U.

formation energy from the elements: -2.344 eV per atom
total energy: -64.24 eV per formula unit
excess energy over the best structure of this formula in the dataset: 0.009 eV/atom
M_tot: 1.00 μB per formula unit

abc: 6.006 6.006 6.006
angles: 60.00 60.00 60.00
Atoms (fractional coordinates):
K: 0.000 0.000 0.000
Sr: 0.500 0.500 0.500
La: 0.750 0.750 0.750
Mn: 0.250 0.250 0.250
O: 0.025 0.025 0.475
O: 0.025 0.475 0.025
O: 0.025 0.475 0.475
O: 0.475 0.025 0.025
O: 0.475 0.025 0.475
O: 0.475 0.475 0.025

No. 4
This record from Materials Project describes a relaxed structure of KLaZrMnO6. The functional is PBE+U.

formation energy from the elements: -2.913 eV per atom
total energy: -76.79 eV per formula unit
M_tot: 3.00 μB per formula unit

abc: 5.659 5.659 5.659
angles: 60.00 60.00 60.00
Atoms (fractional coordinates):
K: 0.000 0.000 0.000
La: 0.500 0.500 0.500
Zr: 0.250 0.250 0.250
Mn: 0.750 0.750 0.750
O: 0.511 0.511 0.989
O: 0.511 0.989 0.511
O: 0.511 0.989 0.989
O: 0.989 0.511 0.511
O: 0.989 0.511 0.989
O: 0.989 0.989 0.511

No. 5
This record from Materials Project describes a relaxed structure of KLaTbNiO6. The functional is PBE+U.

formation energy from the elements: -2.298 eV per atom
total energy: -62.47 eV per formula unit
M_tot: 1.00 μB per formula unit

abc: 5.730 5.730 5.730
angles: 60.00 60.00 60.00
Atoms (fractional coordinates):
K: 0.000 0.000 0.000
La: 0.500 0.500 0.500
Tb: 0.750 0.750 0.750
Ni: 0.250 0.250 0.250
O: 0.021 0.021 0.479
O: 0.021 0.479 0.021
O: 0.021 0.479 0.479
O: 0.479 0.021 0.021
O: 0.479 0.021 0.479
O: 0.479 0.479 0.021

No. 6
This record from Materials Project describes a relaxed structure of KSrLaWO6. The functional is PBE+U.

formation energy from the elements: -2.887 eV per atom
total energy: -70.69 eV per formula unit
excess energy over the best structure of this formula in the dataset: 0.000 eV/atom
M_tot: 0.00 μB per formula unit

abc: 8.544 8.548 8.567
angles: 90.00 90.00 90.00
Atoms (fractional coordinates):
K: 0.250 0.250 0.250
K: 0.250 0.750 0.250
K: 0.750 0.250 0.750
K: 0.750 0.750 0.750
Sr: 0.250 0.250 0.750
Sr: 0.250 0.750 0.750
Sr: 0.750 0.250 0.250
Sr: 0.750 0.750 0.250
La: 0.000 0.000 0.000
La: 0.000 0.500 0.500
La: 0.500 0.000 0.500
La: 0.500 0.500 0.000
W: 0.000 0.000 0.500
W: 0.000 0.500 0.000
W: 0.500 0.000 0.000
W: 0.500 0.500 0.500
O: 0.026 0.224 0.468
O: 0.026 0.276 0.032
O: 0.043 0.028 0.725
O: 0.043 0.472 0.775
O: 0.224 0.533 0.021
O: 0.224 0.967 0.479
O: 0.276 0.533 0.479
O: 0.276 0.967 0.021
O: 0.457 0.028 0.775
O: 0.457 0.472 0.725
O: 0.474 0.224 0.032
O: 0.474 0.276 0.468
O: 0.526 0.724 0.532
O: 0.526 0.776 0.968
O: 0.543 0.528 0.275
O: 0.543 0.972 0.225
O: 0.724 0.033 0.979
O: 0.724 0.467 0.521
O: 0.776 0.033 0.521
O: 0.776 0.467 0.979
O: 0.957 0.528 0.225
O: 0.957 0.972 0.275
O: 0.974 0.724 0.968
O: 0.974 0.776 0.532